Entry 1:
First-principles (GGA-PBE) data for a relaxed structure of MgCuP4Ru2O14, as listed in the Materials Project.

Calculated values
formation energy = -2.114 eV per atom
E = -152.07 eV per cell
MP2020-corrected energy = -7.3496 eV per atom
total magnetic moment = 1.06 μB/f.u.

Unit cell a=5.0552 b=6.8290 c=8.4034 alpha=92.11 beta=91.61 gamma=107.65
Closest atoms and distances in Å follow each position.
Fractional coordinates of all 22 atoms:
Mg (0.0000, 0.0000, 0.0000)  4 O 2.00-2.16
Cu (0.5360, 0.7959, 0.6634)  2 O 1.93-2.00
P (0.1673, 0.0417, 0.3732)  4 O 1.53-1.62
P (0.5311, 0.1397, 0.9107)  4 O 1.52-1.59
P (0.5722, 0.4486, 0.4495)  4 O 1.50-1.61
P (0.9629, 0.5467, 0.9897)  4 O 1.51-1.66
Ru (0.0500, 0.2964, 0.6749)  6 O 2.01-2.25
Ru (0.5491, 0.7910, 0.1875)  6 O 2.05-2.17
O (0.0511, 0.5498, 0.8172)  1 P 1.53
O (0.0516, 0.0389, 0.5401)  1 P 1.53
O (0.1827, 0.5645, 0.1197)  1 P 1.51
O (0.2868, 0.2075, 0.8511)  1 P 1.52
O (0.3458, 0.8972, 0.3640)  1 P 1.53
O (0.3521, 0.2736, 0.3382)  2 P 1.61-1.62
O (0.3921, 0.5160, 0.5793)  1 P 1.58
O (0.3943, 0.9700, 0.0247)  1 P 1.54
O (0.7017, 0.6245, 0.3435)  1 P 1.52
O (0.7106, 0.0584, 0.7908)  1 P 1.57
O (0.7527, 0.3129, 0.0178)  2 P 1.59-1.66
O (0.7775, 0.3500, 0.5160)  1 P 1.50
O (0.7866, 0.6974, 0.0049)  1 P 1.56
O (0.9434, 0.0132, 0.2347)  1 P 1.57

Entry 2:
First-principles (GGA-PBE) data for a relaxed structure of MgCuP4Ru2O14, as listed in the Materials Project.

Calculated values
formation energy = -2.089 eV per atom
E = -151.52 eV per cell
MP2020-corrected energy = -7.3242 eV per atom
total magnetic moment = 1.00 μB/f.u.

Unit cell a=5.0545 b=6.8217 c=8.7015 alpha=90.81 beta=93.25 gamma=106.13
Closest atoms and distances in Å follow each position.
Fractional coordinates of all 22 atoms:
Mg (0.0000, 0.0000, 0.0000)  4 O 1.94-2.15
Cu (0.5377, 0.0847, 0.4378)  2 O 1.92-1.95
P (0.1464, 0.3532, 0.1370)  4 O 1.53-1.60
P (0.5249, 0.4194, 0.6566)  4 O 1.51-1.62
P (0.5443, 0.7408, 0.2209)  4 O 1.50-1.62
P (0.9290, 0.8134, 0.7348)  4 O 1.52-1.61
Ru (0.0366, 0.5815, 0.4389)  6 O 2.02-2.20
Ru (0.5284, 0.0866, 0.9336)  6 O 2.06-2.17
O (0.0069, 0.8292, 0.5678)  1 P 1.52
O (0.0643, 0.3409, 0.3039)  1 P 1.53
O (0.1715, 0.8417, 0.8610)  1 P 1.57
O (0.3212, 0.5822, 0.1058)  2 P 1.60-1.62
O (0.3238, 0.2011, 0.1134)  1 P 1.57
O (0.3237, 0.5293, 0.5920)  1 P 1.51
O (0.3758, 0.8147, 0.3432)  1 P 1.56
O (0.3953, 0.2469, 0.7605)  1 P 1.52
O (0.6690, 0.9153, 0.1133)  1 P 1.54
O (0.6983, 0.3525, 0.5303)  1 P 1.58
O (0.7526, 0.5842, 0.7659)  2 P 1.61-1.62
O (0.7570, 0.6389, 0.2784)  1 P 1.50
O (0.7687, 0.9636, 0.7817)  1 P 1.54
O (0.9130, 0.2989, 0.0106)  1 P 1.53

Entry 3:
First-principles (GGA-PBE) data for a relaxed structure of MgCuP4Ru2O14, as listed in the Materials Project.

Calculated values
formation energy = -2.132 eV per atom
E = -152.46 eV per cell
MP2020-corrected energy = -7.3674 eV per atom
total magnetic moment = 1.00 μB/f.u.

Unit cell a=4.9918 b=6.8158 c=8.5712 alpha=93.83 beta=94.23 gamma=105.40
Closest atoms and distances in Å follow each position.
Fractional coordinates of all 22 atoms:
Mg (0.0000, 0.0000, 0.0000)  4 O 2.01-2.12
Cu (0.1211, 0.2753, 0.7353)  2 O 1.91-1.92
P (0.0893, 0.7790, 0.6440)  4 O 1.51-1.63
P (0.1006, 0.4445, 0.0758)  4 O 1.50-1.61
P (0.4773, 0.8396, 0.1865)  4 O 1.50-1.62
P (0.6965, 0.3775, 0.5401)  4 O 1.51-1.61
Ru (0.0867, 0.1080, 0.3626)  6 O 2.06-2.18
Ru (0.5952, 0.6092, 0.8600)  6 O 2.06-2.17
O (0.2042, 0.9597, 0.5513)  1 P 1.52
O (0.2455, 0.9531, 0.1821)  1 P 1.55
O (0.2748, 0.3722, 0.9475)  1 P 1.58
O (0.3036, 0.6724, 0.6993)  1 P 1.51
O (0.3274, 0.6007, 0.1999)  2 P 1.61-1.62
O (0.4730, 0.3176, 0.4035)  1 P 1.51
O (0.5960, 0.8572, 0.0231)  1 P 1.56
O (0.5970, 0.3631, 0.7065)  1 P 1.55
O (0.6952, 0.9013, 0.3239)  1 P 1.50
O (0.8550, 0.6140, 0.5253)  2 P 1.61-1.63
O (0.8979, 0.5578, 0.0185)  1 P 1.50
O (0.9196, 0.2535, 0.5333)  1 P 1.57
O (0.9297, 0.8425, 0.7839)  1 P 1.59
O (0.9754, 0.2488, 0.1548)  1 P 1.54

Entry 4:
First-principles (GGA-PBE) data for a relaxed structure of MgCuP4Ru2O14, as listed in the Materials Project.

Calculated values
formation energy = -2.126 eV per atom
E = -152.33 eV per cell
MP2020-corrected energy = -7.3611 eV per atom
total magnetic moment = 1.00 μB/f.u.

Unit cell a=4.9719 b=6.8510 c=8.4144 alpha=92.46 beta=91.55 gamma=108.09
Closest atoms and distances in Å follow each position.
Fractional coordinates of all 22 atoms:
Mg (0.0000, 0.0000, 0.0000)  5 O 2.02-2.13
Cu (0.5993, 0.4639, 0.4478)  2 O 1.94-1.96
P (0.1856, 0.6977, 0.1373)  3 O 1.50-1.56
P (0.5394, 0.8065, 0.6641)  4 O 1.51-1.66
P (0.6174, 0.1252, 0.2064)  4 O 1.51-1.64
P (0.9658, 0.2265, 0.7322)  4 O 1.51-1.69
Ru (0.0829, 0.9615, 0.4349)  6 O 2.03-2.21
Ru (0.5781, 0.4645, 0.9313)  6 O 2.06-2.10
O (0.0623, 0.2209, 0.5630)  1 P 1.52
O (0.0968, 0.6973, 0.3087)  1 P 1.52
O (0.1927, 0.2402, 0.8693)  1 P 1.57
O (0.3183, 0.9049, 0.6181)  1 P 1.51
O (0.3658, 0.9478, 0.1036)  2 P 1.64-1.71
O (0.3715, 0.5644, 0.1109)  1 P 1.50
O (0.4276, 0.6334, 0.7741)  1 P 1.51
O (0.4744, 0.1826, 0.3537)  1 P 1.54
O (0.7107, 0.7503, 0.5252)  1 P 1.57
O (0.7280, 0.2889, 0.0882)  1 P 1.51
O (0.7767, 0.9868, 0.7778)  2 P 1.66-1.69
O (0.7849, 0.3670, 0.7500)  1 P 1.51
O (0.8531, 0.0251, 0.2328)  1 P 1.55
O (0.9525, 0.6947, 0.0077)  1 P 1.56

Entry 5:
First-principles (GGA-PBE) data for a relaxed structure of SrMgCuP2O8, as listed in the Materials Project.

Calculated values
formation energy = -2.752 eV per atom
E = -176.15 eV per cell
MP2020-corrected energy = -7.1977 eV per atom
total magnetic moment = 1.00 μB/f.u.

Unit cell a=5.6525 b=6.7517 c=9.2298 alpha=109.19 beta=102.23 gamma=99.41
Closest atoms and distances in Å follow each position.
Fractional coordinates of all 26 atoms:
Sr (0.2397, 0.1959, 0.4403)  7 O 2.52-2.81
Sr (0.7603, 0.8041, 0.5597)  7 O 2.52-2.81
Mg (0.4896, 0.4020, 0.1480)  4 O 2.03-2.13
Mg (0.5104, 0.5980, 0.8520)  4 O 2.03-2.13
Cu (0.1434, 0.8499, 0.0468)  4 O 1.94-2.03
Cu (0.8566, 0.1501, 0.9532)  4 O 1.94-2.03
P (0.1036, 0.5724, 0.2576)  4 O 1.54-1.58
P (0.3418, 0.0274, 0.8011)  4 O 1.53-1.60
P (0.6582, 0.9726, 0.1989)  4 O 1.53-1.60
P (0.8964, 0.4276, 0.7424)  4 O 1.54-1.58
O (0.1184, 0.4055, 0.0958)  1 P 1.58
O (0.1231, 0.9293, 0.8557)  1 P 1.56
O (0.1512, 0.4778, 0.7087)  1 P 1.54
O (0.1573, 0.8007, 0.2504)  1 P 1.55
O (0.2398, 0.9933, 0.6254)  1 P 1.53
O (0.3271, 0.5539, 0.3802)  1 P 1.56
O (0.4479, 0.1015, 0.1805)  1 P 1.60
O (0.4629, 0.2695, 0.9117)  1 P 1.56
O (0.5371, 0.7305, 0.0883)  1 P 1.56
O (0.5521, 0.8985, 0.8195)  1 P 1.60
O (0.6729, 0.4461, 0.6198)  1 P 1.56
O (0.7602, 0.0067, 0.3746)  1 P 1.53
O (0.8427, 0.1993, 0.7496)  1 P 1.55
O (0.8488, 0.5222, 0.2913)  1 P 1.54
O (0.8769, 0.0707, 0.1443)  1 P 1.56
O (0.8816, 0.5945, 0.9042)  1 P 1.58

Entry 6:
First-principles (GGA-PBE) data for a relaxed structure of MgCu2Pd2O4, as listed in the Materials Project.

Calculated values
formation energy = -0.768 eV per atom
E = -44.11 eV per cell
MP2020-corrected energy = -5.2067 eV per atom
total magnetic moment = 0.00 μB/f.u.

Unit cell a=4.7348 b=5.3231 c=4.7926 alpha=90.00 beta=94.07 gamma=90.00
Closest atoms and distances in Å follow each position.
Fractional coordinates of all 9 atoms:
Mg (0.0000, 0.0000, 0.0000)  4 O 2.04
Cu (0.5000, 0.0000, 0.0000)  4 O 2.16, 2 Mg 2.37
Cu (0.5000, 0.5000, 0.5000)  4 O 2.16
Pd (0.0000, 0.0000, 0.5000)  4 O 2.19, 2 Mg 2.40
Pd (0.0000, 0.5000, 0.0000)  4 O 2.08
O (0.2453, 0.2450, 0.2394)  1 Mg 2.04, 2 Pd 2.08-2.19, 2 Cu 2.16
O (0.2453, 0.7550, 0.2394)  1 Mg 2.04, 2 Pd 2.08-2.19, 2 Cu 2.16
O (0.7547, 0.2450, 0.7606)  1 Mg 2.04, 2 Pd 2.08-2.19, 2 Cu 2.16
O (0.7547, 0.7550, 0.7606)  1 Mg 2.04, 2 Pd 2.08-2.19, 2 Cu 2.16

Entry 7:
First-principles (GGA-PBE) data for a relaxed structure of MgCuPdO2, as listed in the Materials Project.

Calculated values
formation energy = -1.069 eV per atom
E = -24.75 eV per cell
MP2020-corrected energy = -5.2241 eV per atom
total magnetic moment = 0.45 μB/f.u.

Unit cell a=2.8072 b=2.8918 c=7.6628 alpha=90.00 beta=90.00 gamma=90.00
Closest atoms and distances in Å follow each position.
Fractional coordinates of all 5 atoms:
Mg (0.0000, 0.0000, 0.0000)  4 O 2.13
Cu (0.0000, 0.5000, 0.6890)  2 O 1.91
Pd (0.5000, 0.0000, 0.3184)  2 O 2.11
O (0.5000, 0.5000, 0.5195)  2 Cu 1.91, 2 Pd 2.11
O (0.5000, 0.5000, 0.9112)  4 Mg 2.13, 2 Cu 2.21

Entry 8:
First-principles (GGA-PBE) data for a relaxed structure of MgCu2Pd2O4, as listed in the Materials Project.

Calculated values
formation energy = -0.760 eV per atom
E = -44.04 eV per cell
MP2020-corrected energy = -5.1985 eV per atom
total magnetic moment = 0.01 μB/f.u.

Unit cell a=4.7196 b=5.2815 c=4.7831 alpha=90.00 beta=96.08 gamma=90.00
Closest atoms and distances in Å follow each position.
Fractional coordinates of all 9 atoms:
Mg (0.0000, 0.0000, 0.0000)  4 O 2.02
Cu (0.0000, 0.5000, 0.0000)  4 O 2.03
Cu (0.5000, 0.0000, 0.0000)  4 O 2.19, 2 Mg 2.36
Pd (0.0000, 0.0000, 0.5000)  4 O 2.21, 2 Mg 2.39
Pd (0.5000, 0.5000, 0.5000)  4 O 2.11
O (0.2434, 0.2483, 0.2412)  1 Mg 2.02, 2 Cu 2.03-2.19, 2 Pd 2.11-2.21
O (0.2434, 0.7517, 0.2412)  1 Mg 2.02, 2 Cu 2.03-2.19, 2 Pd 2.11-2.21
O (0.7566, 0.2483, 0.7588)  1 Mg 2.02, 2 Cu 2.03-2.19, 2 Pd 2.11-2.21
O (0.7566, 0.7517, 0.7588)  1 Mg 2.02, 2 Cu 2.03-2.19, 2 Pd 2.11-2.21

Copy entry 8 word for word.
First-principles (GGA-PBE) data for a relaxed structure of MgCu2Pd2O4, as listed in the Materials Project.

Calculated values
formation energy = -0.760 eV per atom
E = -44.04 eV per cell
MP2020-corrected energy = -5.1985 eV per atom
total magnetic moment = 0.01 μB/f.u.

Unit cell a=4.7196 b=5.2815 c=4.7831 alpha=90.00 beta=96.08 gamma=90.00
Closest atoms and distances in Å follow each position.
Fractional coordinates of all 9 atoms:
Mg (0.0000, 0.0000, 0.0000)  4 O 2.02
Cu (0.0000, 0.5000, 0.0000)  4 O 2.03
Cu (0.5000, 0.0000, 0.0000)  4 O 2.19, 2 Mg 2.36
Pd (0.0000, 0.0000, 0.5000)  4 O 2.21, 2 Mg 2.39
Pd (0.5000, 0.5000, 0.5000)  4 O 2.11
O (0.2434, 0.2483, 0.2412)  1 Mg 2.02, 2 Cu 2.03-2.19, 2 Pd 2.11-2.21
O (0.2434, 0.7517, 0.2412)  1 Mg 2.02, 2 Cu 2.03-2.19, 2 Pd 2.11-2.21
O (0.7566, 0.2483, 0.7588)  1 Mg 2.02, 2 Cu 2.03-2.19, 2 Pd 2.11-2.21
O (0.7566, 0.7517, 0.7588)  1 Mg 2.02, 2 Cu 2.03-2.19, 2 Pd 2.11-2.21

Question: Which formula does entry 6 have?
Answer: MgCu2Pd2O4

Please write out number 2 again, unchanged.
First-principles (GGA-PBE) data for a relaxed structure of MgCuP4Ru2O14, as listed in the Materials Project.

Calculated values
formation energy = -2.089 eV per atom
E = -151.52 eV per cell
MP2020-corrected energy = -7.3242 eV per atom
total magnetic moment = 1.00 μB/f.u.

Unit cell a=5.0545 b=6.8217 c=8.7015 alpha=90.81 beta=93.25 gamma=106.13
Closest atoms and distances in Å follow each position.
Fractional coordinates of all 22 atoms:
Mg (0.0000, 0.0000, 0.0000)  4 O 1.94-2.15
Cu (0.5377, 0.0847, 0.4378)  2 O 1.92-1.95
P (0.1464, 0.3532, 0.1370)  4 O 1.53-1.60
P (0.5249, 0.4194, 0.6566)  4 O 1.51-1.62
P (0.5443, 0.7408, 0.2209)  4 O 1.50-1.62
P (0.9290, 0.8134, 0.7348)  4 O 1.52-1.61
Ru (0.0366, 0.5815, 0.4389)  6 O 2.02-2.20
Ru (0.5284, 0.0866, 0.9336)  6 O 2.06-2.17
O (0.0069, 0.8292, 0.5678)  1 P 1.52
O (0.0643, 0.3409, 0.3039)  1 P 1.53
O (0.1715, 0.8417, 0.8610)  1 P 1.57
O (0.3212, 0.5822, 0.1058)  2 P 1.60-1.62
O (0.3238, 0.2011, 0.1134)  1 P 1.57
O (0.3237, 0.5293, 0.5920)  1 P 1.51
O (0.3758, 0.8147, 0.3432)  1 P 1.56
O (0.3953, 0.2469, 0.7605)  1 P 1.52
O (0.6690, 0.9153, 0.1133)  1 P 1.54
O (0.6983, 0.3525, 0.5303)  1 P 1.58
O (0.7526, 0.5842, 0.7659)  2 P 1.61-1.62
O (0.7570, 0.6389, 0.2784)  1 P 1.50
O (0.7687, 0.9636, 0.7817)  1 P 1.54
O (0.9130, 0.2989, 0.0106)  1 P 1.53

Question: Look up the MP2020-corrected energy of the fourth one.
Answer: -7.3611 eV per atom